Record 1
Density functional theory data (PBE) for crystalline K3BrCl2 at its relaxed geometry.

Properties
E (MP2020)	-3.5339	eV per atom
DFT formation energy	-2.090	eV per atom

```
K3BrCl2
1.0
4.588 0.000 0.000
-2.294 3.973 0.000
0.000 0.000 11.252
K Br Cl
3 1 2
Cartesian
0.000 0.000 0.000
0.000 2.649 7.617
2.294 1.324 3.635
0.000 0.000 5.626
0.000 2.649 1.822
2.294 1.324 9.430
```

***

Record 2
Density functional theory data (PBE) for crystalline Sn2S3O12 at its relaxed geometry.

Properties
E (MP2020)	-6.4460	eV per atom
DFT formation energy	-1.752	eV per atom
energy relative to the lowest polymorph listed for this composition	2.04	kcal/mol of atoms

```
Sn2S3O12
1.0
12.576 0.000 0.000
0.000 9.222 0.000
0.000 0.000 9.061
Sn S O
8 12 48
Cartesian
1.543 2.291 0.286
1.543 6.932 4.817
4.745 2.321 4.817
4.745 6.902 0.286
7.831 2.321 8.775
7.831 6.902 4.244
11.033 2.291 4.244
11.033 6.932 8.775
0.000 0.386 6.796
0.000 8.836 2.265
1.821 3.692 3.568
1.821 5.531 8.099
4.467 0.919 8.099
4.467 8.303 3.568
6.288 4.225 2.265
6.288 4.997 6.796
8.109 0.919 5.493
8.109 8.303 0.963
10.755 3.692 0.963
10.755 5.531 5.493
0.393 3.404 3.832
0.393 5.818 8.363
0.709 0.439 1.254
0.709 8.783 5.784
1.041 1.246 7.438
1.041 7.977 2.907
2.042 4.047 8.024
2.042 5.175 3.493
2.270 3.117 2.268
2.270 6.105 6.799
2.631 3.111 4.689
2.631 6.112 0.159
3.657 1.500 0.159
3.657 7.722 4.689
4.018 1.494 6.799
4.018 7.728 2.268
4.246 0.564 3.493
4.246 8.658 8.024
5.247 3.366 2.907
5.247 5.857 7.438
5.579 4.172 5.784
5.579 5.050 1.254
5.895 1.207 8.363
5.895 8.015 3.832
6.680 1.207 5.229
6.680 8.015 0.699
6.996 4.172 7.807
6.996 5.050 3.277
7.329 3.366 1.623
7.329 5.857 6.154
8.330 0.564 1.037
8.330 8.658 5.568
8.558 1.494 6.793
8.558 7.728 2.262
8.919 1.500 4.372
8.919 7.722 8.903
9.945 3.111 8.903
9.945 6.112 4.372
10.306 3.117 2.262
10.306 6.105 6.793
10.534 4.047 5.568
10.534 5.175 1.037
11.535 1.246 6.154
11.535 7.977 1.623
11.867 0.439 3.277
11.867 8.783 7.807
12.183 3.404 0.699
12.183 5.818 5.229
```

***

Record 3
Density functional theory data (PBE) for crystalline Y2Ni15B9 at its relaxed geometry.

Properties
DFT formation energy	-0.407	eV per atom

```
Y2Ni15B9
1.0
7.940 -5.780 0.000
7.940 5.780 0.000
0.000 0.000 11.245
Y Ni B
8 60 36
Cartesian
3.970 0.674 2.811
7.940 2.999 10.780
7.940 2.780 5.158
3.970 -0.674 8.434
11.911 0.674 2.811
7.940 -2.780 6.087
7.940 -2.999 0.465
11.911 -0.674 8.434
0.000 0.000 0.000
0.000 0.000 5.623
1.844 1.280 9.916
1.533 1.003 7.426
6.687 4.740 9.067
6.233 4.209 6.718
5.237 3.197 10.290
3.970 2.102 8.434
5.237 2.583 4.667
3.766 1.163 5.956
4.175 1.163 10.912
9.194 4.740 9.067
1.533 -1.003 3.819
1.844 -1.280 1.330
7.940 3.081 2.383
9.648 4.209 6.718
6.233 1.571 1.096
7.940 2.698 8.005
6.096 1.280 6.952
6.407 1.003 9.442
6.687 1.040 3.444
3.766 -1.163 5.289
4.175 -1.163 0.333
10.644 3.197 10.290
3.970 -2.102 2.811
10.644 2.583 4.667
9.648 1.571 1.096
9.194 1.040 3.444
6.407 -1.003 1.803
6.096 -1.280 4.293
7.940 0.000 0.000
7.940 0.000 5.623
9.785 1.280 6.952
9.474 1.003 9.442
6.687 -1.040 7.801
6.233 -1.571 10.149
5.237 -2.583 6.578
11.911 2.102 8.434
5.237 -3.197 0.956
11.706 1.163 10.912
12.115 1.163 5.956
9.194 -1.040 7.801
9.474 -1.003 1.803
9.785 -1.280 4.293
7.940 -2.698 3.240
9.648 -1.571 10.149
6.233 -4.209 4.527
7.940 -3.081 8.862
14.037 1.280 9.916
14.348 1.003 7.426
6.687 -4.740 2.178
11.706 -1.163 0.333
12.115 -1.163 5.289
10.644 -2.583 6.578
11.911 -2.102 2.811
10.644 -3.197 0.956
9.648 -4.209 4.527
9.194 -4.740 2.178
14.348 -1.003 3.819
14.037 -1.280 1.330
7.940 5.226 7.555
4.762 2.899 1.122
4.762 2.880 6.744
7.940 5.129 2.246
2.338 0.633 0.561
5.891 2.904 2.749
5.891 2.876 8.372
2.151 0.000 5.623
2.338 -0.633 10.684
5.603 0.633 5.061
5.790 0.000 0.000
9.990 2.904 2.749
9.990 2.876 8.372
5.603 -0.633 6.184
7.940 0.651 7.869
11.119 2.899 1.122
11.119 2.880 6.744
7.940 0.554 1.933
7.940 -0.554 9.312
4.762 -2.880 4.501
4.762 -2.899 10.123
7.940 -0.651 3.376
10.278 0.633 5.061
5.891 -2.876 2.873
5.891 -2.904 8.496
10.091 0.000 0.000
10.278 -0.633 6.184
13.543 0.633 0.561
13.730 0.000 5.623
9.990 -2.876 2.873
9.990 -2.904 8.496
13.543 -0.633 10.684
7.940 -5.129 8.999
11.119 -2.880 4.501
11.119 -2.899 10.123
7.940 -5.226 3.690
```

***

The lowest DFT formation energy belongs to which entry?
K3BrCl2

***

Which of these has the lowest DFT formation energy?
K3BrCl2